Entry 1:
# ZrCrCu

A relaxed structure of ZrCrCu (PBE, the Materials Project database).

- final energy (eV per atom) = -7.3809
- ΔH_f (0 K) (meV/atom) = 52

Cell: 5.084 5.084 5.084 Å, 124.37 119.38 86.84°
Atoms (fractional coordinates):
Zr1 0.367 0.117 0.250
Zr2 0.633 0.883 0.750
Cr1 0.000 0.000 0.500
Cr2 0.000 0.500 0.000
Cu1 0.000 0.500 0.500
Cu2 0.500 0.500 0.000

Entry 2:
# DyCr2Fe10

A relaxed structure of DyCr2Fe10 (PBE, the Materials Project database).

- final energy (eV per atom) = -8.3510
- ΔH_f (0 K) (meV/atom) = 4

Cell: 6.399 6.399 6.399 Å, 137.14 98.14 97.20°
Atoms (fractional coordinates):
Dy1 0.000 0.000 0.000
Cr1 0.368 0.368 0.000
Cr2 0.632 0.632 0.000
Fe1 0.000 0.000 0.500
Fe2 0.000 0.500 0.000
Fe3 0.226 0.500 0.726
Fe4 0.228 0.728 0.500
Fe5 0.359 0.000 0.359
Fe6 0.500 0.000 0.000
Fe7 0.500 0.500 0.500
Fe8 0.641 0.000 0.641
Fe9 0.772 0.272 0.500
Fe10 0.774 0.500 0.274

Entry 3:
# Dy2CrGe4

A relaxed structure of Dy2CrGe4 (PBE, the Materials Project database).

- final energy (eV per atom) = -5.8058
- ΔH_f (0 K) (meV/atom) = -469

Cell: 4.296 7.991 7.991 Å, 31.38 90.00 90.00°
Atoms (fractional coordinates):
Dy1 0.000 0.000 0.000
Dy2 0.500 0.202 0.202
Cr1 0.500 0.397 0.397
Ge1 0.000 0.350 0.350
Ge2 0.000 0.665 0.665
Ge3 0.500 0.552 0.552
Ge4 0.500 0.844 0.844

Entry 4:
# DyCr6Ge6

A relaxed structure of DyCr6Ge6 (PBE, the Materials Project database).

- final energy (eV per atom) = -7.1372
- ΔH_f (0 K) (meV/atom) = -194

Cell: 5.111 5.111 8.324 Å, 90.00 90.00 120.00°
Atoms (fractional coordinates):
Dy1 0.000 0.000 0.000
Cr1 0.000 0.500 0.250
Cr2 0.000 0.500 0.750
Cr3 0.500 0.000 0.250
Cr4 0.500 0.000 0.750
Cr5 0.500 0.500 0.250
Cr6 0.500 0.500 0.750
Ge1 0.000 0.000 0.346
Ge2 0.000 0.000 0.654
Ge3 0.333 0.667 0.000
Ge4 0.333 0.667 0.500
Ge5 0.667 0.333 0.000
Ge6 0.667 0.333 0.500

Entry 5:
# DyMn4Cr2Ge6

A relaxed structure of DyMn4Cr2Ge6 (PBE, the Materials Project database).

- final energy (eV per atom) = -7.0619
- ΔH_f (0 K) (meV/atom) = -270

Cell: 5.128 8.210 5.153 Å, 90.00 119.76 90.00°
Atoms (fractional coordinates):
Dy1 0.000 0.000 0.000
Mn1 0.000 0.251 0.500
Mn2 0.500 0.250 0.000
Mn3 0.500 0.251 0.500
Mn4 0.500 0.749 0.000
Cr1 0.000 0.750 0.500
Cr2 0.500 0.750 0.500
Ge1 0.000 0.346 0.000
Ge2 0.000 0.654 0.000
Ge3 0.334 0.001 0.667
Ge4 0.334 0.498 0.668
Ge5 0.666 0.001 0.333
Ge6 0.666 0.498 0.332

Entry 6:
# Dy2Mn9Cr3Ge12

A relaxed structure of Dy2Mn9Cr3Ge12 (PBE, the Materials Project database).

- final energy (eV per atom) = -7.0520
- ΔH_f (0 K) (meV/atom) = -279

Cell: 5.128 16.452 5.130 Å, 90.00 119.82 90.00°
Atoms (fractional coordinates):
Dy1 0.000 0.000 0.000
Dy2 0.000 0.499 0.000
Mn1 0.000 0.124 0.500
Mn2 0.000 0.374 0.500
Mn3 0.000 0.625 0.500
Mn4 0.000 0.874 0.500
Mn5 0.500 0.125 0.000
Mn6 0.500 0.125 0.500
Mn7 0.500 0.374 0.500
Mn8 0.500 0.624 0.500
Mn9 0.500 0.625 0.000
Cr1 0.500 0.375 0.000
Cr2 0.500 0.874 0.000
Cr3 0.500 0.874 0.500
Ge1 0.000 0.173 0.000
Ge2 0.000 0.326 0.000
Ge3 0.000 0.672 0.000
Ge4 0.000 0.826 0.000
Ge5 0.332 0.748 0.665
Ge6 0.333 0.001 0.666
Ge7 0.333 0.248 0.667
Ge8 0.333 0.500 0.666
Ge9 0.667 0.001 0.334
Ge10 0.667 0.248 0.333
Ge11 0.667 0.500 0.334
Ge12 0.668 0.748 0.335

Entry 7:
# DyMg2Cr3S8

A relaxed structure of DyMg2Cr3S8 (PBE, the Materials Project database).

- final energy (eV per atom) = -6.1008
- ΔH_f (0 K) (meV/atom) = -1398

Cell: 7.429 7.429 7.429 Å, 59.46 59.46 59.46°
Atoms (fractional coordinates):
Dy1 0.000 0.000 0.000
Mg1 0.375 0.375 0.375
Mg2 0.625 0.625 0.625
Cr1 0.000 0.000 0.500
Cr2 0.000 0.500 0.000
Cr3 0.500 0.000 0.000
S1 0.220 0.745 0.745
S2 0.236 0.236 0.236
S3 0.255 0.255 0.780
S4 0.255 0.780 0.255
S5 0.745 0.220 0.745
S6 0.745 0.745 0.220
S7 0.764 0.764 0.764
S8 0.780 0.255 0.255

Entry 8:
# DyMgCrS4

A relaxed structure of DyMgCrS4 (PBE, the Materials Project database).

- final energy (eV per atom) = -5.9628
- ΔH_f (0 K) (meV/atom) = -1621

Cell: 7.560 7.560 7.560 Å, 120.68 119.15 90.15°
Atoms (fractional coordinates):
Dy1 0.000 0.000 0.000
Dy2 0.500 0.000 0.500
Mg1 0.375 0.625 0.750
Mg2 0.625 0.375 0.250
Cr1 0.000 0.000 0.500
Cr2 0.000 0.500 0.000
S1 0.211 0.745 0.466
S2 0.220 0.255 0.966
S3 0.229 0.229 0.500
S4 0.229 0.729 0.000
S5 0.771 0.271 0.000
S6 0.771 0.771 0.500
S7 0.780 0.745 0.034
S8 0.789 0.255 0.534

Please write out number 8 again, unchanged.
# DyMgCrS4

A relaxed structure of DyMgCrS4 (PBE, the Materials Project database).

- final energy (eV per atom) = -5.9628
- ΔH_f (0 K) (meV/atom) = -1621

Cell: 7.560 7.560 7.560 Å, 120.68 119.15 90.15°
Atoms (fractional coordinates):
Dy1 0.000 0.000 0.000
Dy2 0.500 0.000 0.500
Mg1 0.375 0.625 0.750
Mg2 0.625 0.375 0.250
Cr1 0.000 0.000 0.500
Cr2 0.000 0.500 0.000
S1 0.211 0.745 0.466
S2 0.220 0.255 0.966
S3 0.229 0.229 0.500
S4 0.229 0.729 0.000
S5 0.771 0.271 0.000
S6 0.771 0.771 0.500
S7 0.780 0.745 0.034
S8 0.789 0.255 0.534

- Number 6 is which compound?
  Dy2Mn9Cr3Ge12

Repeat the seventh record exactly.
# DyMg2Cr3S8

A relaxed structure of DyMg2Cr3S8 (PBE, the Materials Project database).

- final energy (eV per atom) = -6.1008
- ΔH_f (0 K) (meV/atom) = -1398

Cell: 7.429 7.429 7.429 Å, 59.46 59.46 59.46°
Atoms (fractional coordinates):
Dy1 0.000 0.000 0.000
Mg1 0.375 0.375 0.375
Mg2 0.625 0.625 0.625
Cr1 0.000 0.000 0.500
Cr2 0.000 0.500 0.000
Cr3 0.500 0.000 0.000
S1 0.220 0.745 0.745
S2 0.236 0.236 0.236
S3 0.255 0.255 0.780
S4 0.255 0.780 0.255
S5 0.745 0.220 0.745
S6 0.745 0.745 0.220
S7 0.764 0.764 0.764
S8 0.780 0.255 0.255

What did the fifth record say?
# DyMn4Cr2Ge6

A relaxed structure of DyMn4Cr2Ge6 (PBE, the Materials Project database).

- final energy (eV per atom) = -7.0619
- ΔH_f (0 K) (meV/atom) = -270

Cell: 5.128 8.210 5.153 Å, 90.00 119.76 90.00°
Atoms (fractional coordinates):
Dy1 0.000 0.000 0.000
Mn1 0.000 0.251 0.500
Mn2 0.500 0.250 0.000
Mn3 0.500 0.251 0.500
Mn4 0.500 0.749 0.000
Cr1 0.000 0.750 0.500
Cr2 0.500 0.750 0.500
Ge1 0.000 0.346 0.000
Ge2 0.000 0.654 0.000
Ge3 0.334 0.001 0.667
Ge4 0.334 0.498 0.668
Ge5 0.666 0.001 0.333
Ge6 0.666 0.498 0.332